Th6Mg23 | r2SCAN | optimized geometry

The structure in POSCAR format:
```
Th6Mg23
1.0
8.743 0.000 5.048
2.914 8.243 5.048
0.000 0.000 10.096
Th Mg
6 23
direct
0.815 0.185 0.815
0.815 0.815 0.185
0.815 0.185 0.185
0.185 0.185 0.815
0.185 0.815 0.815
0.185 0.815 0.185
0.380 0.859 0.380
0.830 0.830 0.830
0.000 0.000 0.500
0.500 0.500 0.500
0.170 0.489 0.170
0.170 0.170 0.489
0.830 0.830 0.511
0.380 0.380 0.859
0.620 0.620 0.620
0.500 0.000 0.000
0.859 0.380 0.380
0.141 0.620 0.620
0.170 0.170 0.170
0.830 0.511 0.830
0.511 0.830 0.830
0.500 0.000 0.500
0.380 0.380 0.380
0.620 0.141 0.620
0.620 0.620 0.141
0.500 0.500 0.000
0.489 0.170 0.170
0.000 0.500 0.000
0.000 0.500 0.500
```

Summary:
E	-536.8	eV per cell
energy of formation from the pure elements	0	meV per atom
size of the total moment	0.00	Bohr magnetons per cell